A plane-wave DFT calculation with GGA-PBE was carried out for KF after structural relaxation.

Cell lengths 3.2590, 3.2590, 3.2590 Å; angles 90.00, 90.00, 90.00 degrees
Fractional positions:
K  0.0000  0.0000  0.0000
F  0.5000  0.5000  0.5000

Summary:
E (MP2020) = -4.344 eV per atom
final energy = -4.113 eV/atom
SG = Pm-3m (221)
formation energy from the elements = -2831.4 meV/atom

---

A plane-wave DFT calculation with GGA-PBE was carried out for KF5 after structural relaxation.

Cell lengths 7.8969, 7.8969, 7.8969 Å; angles 139.44, 139.44, 58.70 degrees
Fractional positions:
K  0.3750  0.1250  0.2500
K  0.6250  0.8750  0.7500
F  0.0578  0.7019  0.8211
F  0.1250  0.3750  0.7500
F  0.2019  0.8808  0.6442
F  0.2633  0.4422  0.1442
F  0.3808  0.2367  0.6789
F  0.6192  0.7633  0.3211
F  0.7367  0.5578  0.8558
F  0.7981  0.1192  0.3558
F  0.8750  0.6250  0.2500
F  0.9422  0.2981  0.1789

Summary:
E (MP2020) = -2.773 eV per atom
final energy = -2.388 eV/atom
SG = I4_1/a (88)
formation energy from the elements = -992.9 meV/atom

---

A plane-wave DFT calculation with GGA-PBE was carried out for KLaF4 after structural relaxation.

Cell lengths 4.1171, 4.1171, 6.2600 Å; angles 90.00, 90.00, 90.00 degrees
Fractional positions:
K  0.0000  0.0000  0.0000
La  0.5000  0.5000  0.5000
F  0.0000  0.5000  0.2859
F  0.0000  0.5000  0.7141
F  0.5000  0.0000  0.2859
F  0.5000  0.0000  0.7141

Summary:
E (MP2020) = -6.310 eV per atom
final energy = -6.002 eV/atom
SG = P4/mmm (123)
formation energy from the elements = -4026.0 meV/atom

---

A plane-wave DFT calculation with GGA-PBE was carried out for KLaF4 after structural relaxation.

Cell lengths 7.6234, 7.6234, 6.6371 Å; angles 115.74, 115.74, 60.16 degrees
Fractional positions:
K  0.0000  0.0000  0.0000
K  0.5169  0.5169  0.9957
K  0.6752  0.6752  0.6668
La  0.0929  0.5918  0.3347
La  0.1769  0.1769  0.6700
La  0.5918  0.0929  0.3347
F  0.1004  0.5424  0.6936
F  0.2159  0.2159  0.3289
F  0.2644  0.8225  0.3817
F  0.3492  0.3492  0.0902
F  0.3857  0.9430  0.9352
F  0.4575  0.4575  0.5624
F  0.5424  0.1004  0.6936
F  0.7260  0.7260  0.3354
F  0.8225  0.2644  0.3817
F  0.8405  0.8405  0.1048
F  0.9430  0.3857  0.9352
F  0.9651  0.9651  0.5898

Summary:
E (MP2020) = -6.298 eV per atom
final energy = -5.990 eV/atom
SG = Cm (8)
formation energy from the elements = -4013.7 meV/atom

---

A plane-wave DFT calculation with GGA-PBE was carried out for KLaF4 after structural relaxation.

Cell lengths 6.3844, 3.8697, 15.9210 Å; angles 90.00, 90.00, 90.00 degrees
Fractional positions:
K  0.2227  0.2500  0.2019
K  0.2773  0.7500  0.7019
K  0.7227  0.2500  0.2981
K  0.7773  0.7500  0.7981
La  0.2487  0.7500  0.4377
La  0.2513  0.2500  0.9377
La  0.7487  0.7500  0.0623
La  0.7513  0.2500  0.5623
F  0.0051  0.2500  0.0587
F  0.0872  0.2500  0.8057
F  0.1048  0.2500  0.3640
F  0.1345  0.2500  0.5358
F  0.3655  0.7500  0.0358
F  0.3952  0.7500  0.8640
F  0.4128  0.7500  0.3057
F  0.4949  0.7500  0.5587
F  0.5051  0.2500  0.4413
F  0.5872  0.2500  0.6943
F  0.6048  0.2500  0.1360
F  0.6345  0.2500  0.9642
F  0.8655  0.7500  0.4642
F  0.8952  0.7500  0.6360
F  0.9128  0.7500  0.1943
F  0.9949  0.7500  0.9413

Summary:
E (MP2020) = -6.308 eV per atom
final energy = -6.000 eV/atom
SG = Pnma (62)
formation energy from the elements = -4023.9 meV/atom

---

A plane-wave DFT calculation with GGA-PBE was carried out for K5La4Si4O16F after structural relaxation.

Cell lengths 9.3335, 9.3335, 9.3335 Å; angles 95.11, 95.11, 145.28 degrees
Fractional positions:
K  0.0000  0.0000  0.0000
K  0.1034  0.4095  0.5097
K  0.4063  0.8966  0.3061
K  0.5905  0.1002  0.6939
K  0.8998  0.5937  0.4903
La  0.3060  0.6110  0.9347
La  0.3890  0.3237  0.6951
La  0.6287  0.6940  0.3049
La  0.6763  0.3713  0.0653
Si  0.1050  0.7571  0.8557
Si  0.2429  0.0985  0.3478
Si  0.7507  0.8950  0.6522
Si  0.9015  0.2493  0.1444
O  0.0424  0.1999  0.7546
O  0.1110  0.6199  0.7382
O  0.1744  0.1994  0.4214
O  0.2080  0.4503  0.1689
O  0.2470  0.8256  0.0250
O  0.2814  0.0390  0.8311
O  0.3801  0.1183  0.4912
O  0.4453  0.2878  0.2454
O  0.5497  0.7186  0.7577
O  0.6272  0.8890  0.5088
O  0.7122  0.9576  0.1575
O  0.7780  0.7530  0.5786
O  0.8001  0.5547  0.8425
O  0.8006  0.2220  0.9750
O  0.8817  0.3728  0.2618
O  0.9610  0.7920  0.2423
F  0.5000  0.5000  0.0000

Summary:
E (MP2020) = -7.584 eV per atom
final energy = -7.202 eV/atom
SG = I-4 (82)
formation energy from the elements = -3314.6 meV/atom

---

A plane-wave DFT calculation with GGA-PBE was carried out for K2LiNbF6 after structural relaxation.

Cell lengths 5.9279, 5.9279, 5.9279 Å; angles 60.00, 60.00, 60.00 degrees
Fractional positions:
K  0.2500  0.2500  0.2500
K  0.7500  0.7500  0.7500
Li  0.0000  0.0000  0.0000
Nb  0.5000  0.5000  0.5000
F  0.2486  0.2486  0.7514
F  0.2486  0.7514  0.2486
F  0.2486  0.7514  0.7514
F  0.7514  0.2486  0.2486
F  0.7514  0.2486  0.7514
F  0.7514  0.7514  0.2486

Summary:
E (MP2020) = -5.604 eV per atom
final energy = -5.327 eV/atom
SG = Fm-3m (225)
formation energy from the elements = -3032.4 meV/atom

---

A plane-wave DFT calculation with GGA-PBE was carried out for K2LiNdF6 after structural relaxation.

Cell lengths 6.1742, 6.1742, 6.1742 Å; angles 60.00, 60.00, 60.00 degrees
Fractional positions:
K  0.2500  0.2500  0.2500
K  0.7500  0.7500  0.7500
Li  0.0000  0.0000  0.0000
Nd  0.5000  0.5000  0.5000
F  0.2401  0.2401  0.7599
F  0.2401  0.7599  0.2401
F  0.2401  0.7599  0.7599
F  0.7599  0.2401  0.2401
F  0.7599  0.2401  0.7599
F  0.7599  0.7599  0.2401

Summary:
E (MP2020) = -5.560 eV per atom
final energy = -5.282 eV/atom
SG = Fm-3m (225)
formation energy from the elements = -3521.0 meV/atom

---

A plane-wave DFT calculation with GGA-PBE was carried out for K5Li2NdF10 after structural relaxation.

Cell lengths 20.9649, 7.8677, 7.0139 Å; angles 90.00, 90.00, 90.00 degrees
Fractional positions:
K  0.0430  0.0219  0.2502
K  0.0430  0.4781  0.2502
K  0.1402  0.7500  0.5670
K  0.2170  0.5268  0.0766
K  0.2170  0.9732  0.0766
K  0.2830  0.0268  0.5766
K  0.2830  0.4732  0.5766
K  0.3598  0.2500  0.0670
K  0.4570  0.5219  0.7502
K  0.4570  0.9781  0.7502
K  0.5430  0.0219  0.2498
K  0.5430  0.4781  0.2498
K  0.6402  0.7500  0.9330
K  0.7170  0.5268  0.4234
K  0.7170  0.9732  0.4234
K  0.7830  0.0268  0.9234
K  0.7830  0.4732  0.9234
K  0.8598  0.2500  0.4330
K  0.9570  0.5219  0.7498
K  0.9570  0.9781  0.7498
Li  0.0778  0.7500  0.9736
Li  0.1730  0.2500  0.3460
Li  0.3270  0.7500  0.8460
Li  0.4222  0.2500  0.4736
Li  0.5778  0.7500  0.5264
Li  0.6730  0.2500  0.1540
Li  0.8270  0.7500  0.6540
Li  0.9222  0.2500  0.0264
Nd  0.1071  0.2500  0.7649
Nd  0.3929  0.7500  0.2649
Nd  0.6071  0.2500  0.7351
Nd  0.8929  0.7500  0.2351
F  0.0091  0.2500  0.9552
F  0.0198  0.2500  0.5469
F  0.0907  0.5402  0.8473
F  0.0907  0.9598  0.8473
F  0.1262  0.7500  0.1928
F  0.1315  0.2500  0.1089
F  0.1466  0.0745  0.5022
F  0.1466  0.4255  0.5022
F  0.2184  0.2500  0.8096
F  0.2404  0.7500  0.7966
F  0.2596  0.2500  0.2966
F  0.2816  0.7500  0.3096
F  0.3534  0.5745  0.0022
F  0.3534  0.9255  0.0022
F  0.3685  0.7500  0.6089
F  0.3738  0.2500  0.6928
F  0.4093  0.0402  0.3473
F  0.4093  0.4598  0.3473
F  0.4802  0.7500  0.0469
F  0.4909  0.7500  0.4552
F  0.5091  0.2500  0.5448
F  0.5198  0.2500  0.9531
F  0.5907  0.5402  0.6527
F  0.5907  0.9598  0.6527
F  0.6262  0.7500  0.3072
F  0.6315  0.2500  0.3911
F  0.6466  0.0745  0.9978
F  0.6466  0.4255  0.9978
F  0.7184  0.2500  0.6904
F  0.7405  0.7500  0.7034
F  0.7595  0.2500  0.2034
F  0.7816  0.7500  0.1904
F  0.8534  0.5745  0.4978
F  0.8534  0.9255  0.4978
F  0.8685  0.7500  0.8911
F  0.8738  0.2500  0.8072
F  0.9093  0.0402  0.1527
F  0.9093  0.4598  0.1527
F  0.9802  0.7500  0.4531
F  0.9909  0.7500  0.0448

Summary:
E (MP2020) = -5.186 eV per atom
final energy = -4.929 eV/atom
SG = Pnma (62)
formation energy from the elements = -3336.7 meV/atom

---

A plane-wave DFT calculation with GGA-PBE was carried out for K2LiS2O4F2 after structural relaxation.

Cell lengths 5.2673, 5.4601, 7.0153 Å; angles 90.00, 108.18, 90.00 degrees
Fractional positions:
K  0.0000  0.0000  0.0000
K  0.1409  0.5000  0.4378
Li  0.3940  0.0000  0.6651
S  0.4567  0.5000  0.9773
S  0.6677  0.0000  0.4033
O  0.3968  0.2721  0.8518
O  0.3968  0.7279  0.8518
O  0.6917  0.2257  0.5280
O  0.6917  0.7743  0.5280
F  0.0175  0.5000  0.0528
F  0.1557  0.0000  0.4086

Summary:
E (MP2020) = -5.343 eV per atom
final energy = -5.009 eV/atom
SG = Pm (6)
formation energy from the elements = -2068.0 meV/atom

---

A plane-wave DFT calculation with GGA-PBE was carried out for K2LiS2O4F2 after structural relaxation.

Cell lengths 5.3611, 5.7707, 7.5162 Å; angles 79.92, 73.17, 76.22 degrees
Fractional positions:
K  0.0000  0.0000  0.0000
K  0.4599  0.6384  0.2790
Li  0.4755  0.2997  0.8572
S  0.8671  0.1154  0.4940
S  0.9281  0.5815  0.7680
O  0.1721  0.5708  0.8370
O  0.5887  0.2287  0.5814
O  0.7292  0.4522  0.9162
O  0.8804  0.9334  0.3733
F  0.4750  0.0190  0.0199
F  0.9519  0.3581  0.3159

Summary:
E (MP2020) = -5.394 eV per atom
final energy = -5.061 eV/atom
SG = P1 (1)
formation energy from the elements = -2119.4 meV/atom

---

A plane-wave DFT calculation with GGA-PBE was carried out for K2LiS2O4F2 after structural relaxation.

Cell lengths 5.4441, 6.7233, 7.2575 Å; angles 101.71, 111.50, 94.25 degrees
Fractional positions:
K  0.0000  0.0000  0.0000
K  0.3419  0.2634  0.5848
Li  0.0581  0.6167  0.2519
S  0.5928  0.3539  0.1335
S  0.7458  0.8859  0.4655
O  0.4869  0.1576  0.9668
O  0.6583  0.5346  0.0558
O  0.8164  0.7248  0.5803
O  0.8203  0.0984  0.6019
F  0.1442  0.3644  0.2455
F  0.1881  0.8863  0.3443

Summary:
E (MP2020) = -5.357 eV per atom
final energy = -5.024 eV/atom
SG = P1 (1)
formation energy from the elements = -2082.5 meV/atom